[1]
{
  "formula": "Li2ZrN2",
  "functional": "meta-GGA r2SCAN",
  "state": "optimized geometry",
  "lattice": [[-0.1085, -0.6868, -3.2037], [1.5538, -2.0237, 2.0585], [-4.6105, -2.7758, 0.7511]],
  "species": ["Li", "Li", "Zr", "N", "N"],
  "frac_coords": [[0.6667, 0.3333, 0.3836], [0.3333, 0.6667, 0.6164], [0.0000, 0.0000, 0.0000], [0.6667, 0.3333, 0.7769], [0.3333, 0.6667, 0.2231]],
  "crystal_system": "trigonal",
  "formation_enthalpy_0k_ev_per_atom": -1.36
}

[2]
{
  "formula": "CsBi",
  "functional": "meta-GGA r2SCAN",
  "state": "optimized geometry",
  "lattice": [[0.0000, 7.7652, 0.0000], [-0.0871, 0.0000, 14.6611], [14.3426, 0.0000, -6.0772]],
  "species": ["Cs", "Cs", "Cs", "Cs", "Cs", "Cs", "Cs", "Cs", "Cs", "Cs", "Cs", "Cs", "Cs", "Cs", "Cs", "Cs", "Bi", "Bi", "Bi", "Bi", "Bi", "Bi", "Bi", "Bi", "Bi", "Bi", "Bi", "Bi", "Bi", "Bi", "Bi", "Bi"],
  "frac_coords": [[0.3719, 0.6366, 0.1235], [0.8719, 0.8634, 0.8765], [0.6281, 0.3634, 0.8765], [0.1281, 0.1366, 0.1235], [0.1983, 0.5300, 0.3950], [0.6983, 0.9700, 0.6050], [0.8017, 0.4700, 0.6050], [0.3017, 0.0300, 0.3950], [0.4227, 0.6852, 0.6584], [0.9227, 0.8148, 0.3416], [0.5773, 0.3148, 0.3416], [0.0773, 0.1852, 0.6584], [0.1339, 0.5481, 0.8494], [0.6339, 0.9519, 0.1506], [0.8661, 0.4519, 0.1506], [0.3661, 0.0481, 0.8494], [0.8509, 0.6873, 0.0666], [0.3509, 0.8127, 0.9334], [0.1491, 0.3127, 0.9334], [0.6491, 0.1873, 0.0666], [0.1139, 0.8530, 0.0994], [0.6139, 0.6470, 0.9006], [0.8861, 0.1470, 0.9006], [0.3861, 0.3530, 0.0994], [0.4351, 0.7678, 0.4030], [0.9351, 0.7322, 0.5970], [0.5649, 0.2322, 0.5970], [0.0649, 0.2678, 0.4030], [0.2027, 0.8730, 0.5708], [0.7027, 0.6270, 0.4292], [0.7973, 0.1270, 0.4292], [0.2973, 0.3730, 0.5708]],
  "crystal_system": "monoclinic",
  "formation_enthalpy_0k_ev_per_atom": -0.51
}